(1)
DFT (PBE-GGA) results for an optimized crystal structure of KO2.

a = 12.750 Å, b = 7.326 Å, c = 10.013 Å
α = 90.00°, β = 101.56°, γ = 90.00°
Fractional positions:
K: 0.000 0.000 0.000
K: 0.000 0.000 0.500
K: 0.500 0.500 0.000
K: 0.500 0.500 0.500
O: 0.055 0.048 0.264
O: 0.055 0.952 0.764
O: 0.445 0.452 0.736
O: 0.445 0.548 0.236
O: 0.555 0.452 0.764
O: 0.555 0.548 0.264
O: 0.945 0.048 0.236
O: 0.945 0.952 0.736

Values from the calculation:
M_tot = 4.00 μB/cell
Total energy = -4.349 eV/atom

***

(2)
DFT (PBE-GGA) results for an optimized crystal structure of Mo5As4.

a = 6.896 Å, b = 6.896 Å, c = 6.896 Å
α = 93.04°, β = 93.04°, γ = 153.39°
Fractional positions:
Mo: 0.000 0.000 0.000
Mo: 0.050 0.658 0.708
Mo: 0.342 0.050 0.392
Mo: 0.658 0.950 0.608
Mo: 0.950 0.342 0.292
As: 0.325 0.641 0.967
As: 0.359 0.325 0.684
As: 0.641 0.675 0.316
As: 0.675 0.359 0.033

Values from the calculation:
M_tot = 0.01 μB/cell
Total energy = -8.174 eV/atom